A plane-wave DFT calculation with meta-GGA r2SCAN was carried out for an optimized crystal structure of PmHo3.

a b c (Å): 6.168 6.168 6.168
angles (deg): 131.82 131.82 70.51
Fractional coordinates of all 4 atoms:
Ho 0.500 0.500 0.000
Pm 0.000 0.000 0.000
Ho 0.750 0.250 0.500
Ho 0.250 0.750 0.500

Output
Energy above the most stable polymorph in this dataset = 32 meV/atom
DFT formation energy = 4.3 kJ per mole of atoms

A plane-wave DFT calculation with meta-GGA r2SCAN was carried out for an optimized crystal structure of PmHo3.

a b c (Å): 5.033 5.033 5.033
angles (deg): 90.00 90.00 90.00
Fractional coordinates of all 4 atoms:
Ho 0.500 0.000 0.500
Ho 0.000 0.500 0.500
Ho 0.500 0.500 0.000
Pm 0.000 0.000 0.000

Output
Energy above the most stable polymorph in this dataset = 32 meV/atom
DFT formation energy = 4.2 kJ per mole of atoms

A plane-wave DFT calculation with meta-GGA r2SCAN was carried out for an optimized crystal structure of PmHo3.

a b c (Å): 7.301 7.301 5.616
angles (deg): 90.00 90.00 120.00
Fractional coordinates of all 8 atoms:
Ho 0.835 0.670 0.750
Ho 0.165 0.835 0.250
Ho 0.835 0.165 0.750
Ho 0.165 0.330 0.250
Pm 0.667 0.333 0.250
Pm 0.333 0.667 0.750
Ho 0.670 0.835 0.250
Ho 0.330 0.165 0.750

Output
Energy above the most stable polymorph in this dataset = 0 meV/atom
DFT formation energy = 1.1 kJ per mole of atoms

A plane-wave DFT calculation with meta-GGA r2SCAN was carried out for an optimized crystal structure of PmHo.

a b c (Å): 3.653 3.652 5.868
angles (deg): 90.00 90.00 120.00
Fractional coordinates of all 2 atoms:
Pm 0.333 0.667 0.250
Ho 0.667 0.333 0.750

Output
DFT formation energy = 1.8 kJ per mole of atoms

A plane-wave DFT calculation with meta-GGA r2SCAN was carried out for an optimized crystal structure of Pm3Ho.

a b c (Å): 6.281 6.281 6.281
angles (deg): 131.92 131.92 70.35
Fractional coordinates of all 4 atoms:
Pm 0.750 0.250 0.500
Ho 0.000 0.000 0.000
Pm 0.500 0.500 0.000
Pm 0.250 0.750 0.500

Output
Energy above the most stable polymorph in this dataset = 7 meV/atom
DFT formation energy = 2.7 kJ per mole of atoms

A plane-wave DFT calculation with meta-GGA r2SCAN was carried out for an optimized crystal structure of Pm3Ho.

a b c (Å): 7.388 7.388 5.770
angles (deg): 90.00 90.00 120.00
Fractional coordinates of all 8 atoms:
Pm 0.665 0.832 0.250
Pm 0.832 0.168 0.750
Pm 0.832 0.665 0.750
Pm 0.335 0.168 0.750
Ho 0.667 0.333 0.250
Pm 0.168 0.335 0.250
Ho 0.333 0.667 0.750
Pm 0.168 0.832 0.250

Output
Energy above the most stable polymorph in this dataset = 0 meV/atom
DFT formation energy = 2.0 kJ per mole of atoms

A plane-wave DFT calculation with meta-GGA r2SCAN was carried out for an optimized crystal structure of PmHoTl2.

a b c (Å): 5.386 5.386 5.386
angles (deg): 60.00 60.00 60.00
Fractional coordinates of all 4 atoms:
Tl 0.750 0.750 0.750
Pm 0.000 0.000 0.000
Ho 0.500 0.500 0.500
Tl 0.250 0.250 0.250

Output
DFT formation energy = -44.7 kJ per mole of atoms

A plane-wave DFT calculation with meta-GGA r2SCAN was carried out for an optimized crystal structure of PmHoZn2.

a b c (Å): 5.073 5.073 5.073
angles (deg): 60.00 60.00 60.00
Fractional coordinates of all 4 atoms:
Ho 0.500 0.500 0.500
Zn 0.750 0.750 0.750
Pm 0.000 0.000 0.000
Zn 0.250 0.250 0.250

Output
DFT formation energy = -34.6 kJ per mole of atoms